[1]
The following is a r2SCAN calculation of a relaxed structure of Cr2P2O7, from Materials Project.

Results
Energy: -10.45 eV per atom
Calculated formation energy: -2274 meV/atom
Total magnetization: 8.00 μB per formula unit

Structure (CIF):
```
data_Cr2P2O7
_cell_length_a 10.9314
_cell_length_b 10.9314
_cell_length_c 9.2782
_cell_angle_alpha 95.75
_cell_angle_beta 95.75
_cell_angle_gamma 45.03
_symmetry_space_group_name_H-M 'P 1'
_symmetry_Int_Tables_number 1
_symmetry_space_group_name_Hall 'P 1'
loop_
_atom_site_label
_atom_site_fract_x
_atom_site_fract_y
_atom_site_fract_z
_atom_site_occupancy
Cr1 0.1330 0.5104 0.3109 1
Cr2 0.1500 0.5220 0.8396 1
Cr3 0.1780 0.8018 0.9781 1
Cr4 0.1982 0.8220 0.5219 1
Cr5 0.4780 0.8500 0.6604 1
Cr6 0.4896 0.8670 0.1891 1
Cr7 0.5104 0.1330 0.8109 1
Cr8 0.5220 0.1500 0.3396 1
Cr9 0.8018 0.1780 0.4781 1
Cr10 0.8220 0.1982 0.0219 1
Cr11 0.8500 0.4780 0.1604 1
Cr12 0.8670 0.4896 0.6891 1
P1 0.0928 0.1191 0.3225 1
P2 0.1191 0.0928 0.8225 1
P3 0.2162 0.2492 0.5308 1
P4 0.2492 0.2162 0.0308 1
P5 0.4189 0.4557 0.1471 1
P6 0.4557 0.4189 0.6471 1
P7 0.5443 0.5811 0.3529 1
P8 0.5811 0.5443 0.8529 1
P9 0.7508 0.7838 0.9692 1
P10 0.7838 0.7508 0.4692 1
P11 0.8809 0.9072 0.1775 1
P12 0.9072 0.8809 0.6775 1
O1 0.0221 0.7336 0.2396 1
O2 0.0425 0.0466 0.4069 1
O3 0.0466 0.0425 0.9069 1
O4 0.0494 0.7545 0.7872 1
O5 0.0858 0.3677 0.1067 1
O6 0.0917 0.4033 0.6334 1
O7 0.0969 0.2313 0.4425 1
O8 0.2313 0.0969 0.9425 1
O9 0.2455 0.9506 0.7128 1
O10 0.2664 0.9779 0.2604 1
O11 0.2760 0.5726 0.0338 1
O12 0.2805 0.2879 0.4210 1
O13 0.2879 0.2805 0.9210 1
O14 0.3100 0.5942 0.5883 1
O15 0.3677 0.0858 0.6067 1
O16 0.3711 0.3877 0.2422 1
O17 0.3877 0.3711 0.7422 1
O18 0.4033 0.0917 0.1334 1
O19 0.4058 0.6900 0.9117 1
O20 0.4153 0.5847 0.2500 1
O21 0.4274 0.7240 0.4662 1
O22 0.5726 0.2760 0.5338 1
O23 0.5847 0.4153 0.7500 1
O24 0.5942 0.3100 0.0883 1
O25 0.5967 0.9083 0.8666 1
O26 0.6123 0.6289 0.2578 1
O27 0.6289 0.6123 0.7578 1
O28 0.6323 0.9142 0.3933 1
O29 0.6900 0.4058 0.4117 1
O30 0.7121 0.7195 0.0790 1
O31 0.7195 0.7121 0.5790 1
O32 0.7240 0.4274 0.9662 1
O33 0.7336 0.0221 0.7396 1
O34 0.7545 0.0494 0.2872 1
O35 0.7687 0.9031 0.0575 1
O36 0.9031 0.7687 0.5575 1
O37 0.9083 0.5967 0.3666 1
O38 0.9142 0.6323 0.8933 1
O39 0.9506 0.2455 0.2128 1
O40 0.9534 0.9575 0.0931 1
O41 0.9575 0.9534 0.5931 1
O42 0.9779 0.2664 0.7604 1
```

***

[2]
The following is a r2SCAN calculation of a relaxed structure of CrP2O6, from Materials Project.

Results
Energy: -9.93 eV per atom
Calculated formation energy: -2278 meV/atom
Total magnetization: 4.00 μB per formula unit

Structure (CIF):
```
data_CrP2O6
_cell_length_a 7.6800
_cell_length_b 7.6800
_cell_length_c 9.8466
_cell_angle_alpha 114.80
_cell_angle_beta 114.80
_cell_angle_gamma 64.57
_symmetry_space_group_name_H-M 'P 1'
_symmetry_Int_Tables_number 1
_symmetry_space_group_name_Hall 'P 1'
loop_
_atom_site_label
_atom_site_fract_x
_atom_site_fract_y
_atom_site_fract_z
_atom_site_occupancy
Cr1 0.0000 0.5000 0.5000 1
Cr2 0.0534 0.9466 0.7500 1
Cr3 0.5000 0.0000 0.0000 1
Cr4 0.9466 0.0534 0.2500 1
P1 0.2498 0.7276 0.0216 1
P2 0.2724 0.7502 0.4784 1
P3 0.3128 0.3163 0.3063 1
P4 0.3163 0.3128 0.8063 1
P5 0.6837 0.6872 0.1937 1
P6 0.6872 0.6837 0.6937 1
P7 0.7276 0.2498 0.5216 1
P8 0.7502 0.2724 0.9784 1
O1 0.0816 0.8441 0.0901 1
O2 0.1346 0.3116 0.3292 1
O3 0.1559 0.9184 0.4098 1
O4 0.2017 0.7301 0.5903 1
O5 0.2043 0.3458 0.6517 1
O6 0.2419 0.5023 0.9427 1
O7 0.2699 0.7983 0.9097 1
O8 0.2989 0.5436 0.3408 1
O9 0.3116 0.1346 0.8292 1
O10 0.3458 0.2043 0.1517 1
O11 0.4564 0.7011 0.1592 1
O12 0.4977 0.7581 0.5573 1
O13 0.5023 0.2419 0.4427 1
O14 0.5436 0.2989 0.8408 1
O15 0.6542 0.7957 0.8483 1
O16 0.6884 0.8654 0.1708 1
O17 0.7011 0.4564 0.6592 1
O18 0.7301 0.2017 0.0903 1
O19 0.7581 0.4977 0.0573 1
O20 0.7957 0.6542 0.3483 1
O21 0.7983 0.2699 0.4097 1
O22 0.8441 0.0816 0.5901 1
O23 0.8654 0.6884 0.6708 1
O24 0.9184 0.1559 0.9098 1
```

***

[3]
The following is a r2SCAN calculation of a relaxed structure of Ti3V2CrP6O24, from Materials Project.

Results
Energy: -10.43 eV per atom
Calculated formation energy: -2668 meV/atom
Total magnetization: 8.03 μB per formula unit

Structure (CIF):
```
data_Ti3V2CrP6O24
_cell_length_a 8.4442
_cell_length_b 8.4442
_cell_length_c 8.4442
_cell_angle_alpha 60.93
_cell_angle_beta 60.93
_cell_angle_gamma 60.93
_symmetry_space_group_name_H-M 'P 1'
_symmetry_Int_Tables_number 1
_symmetry_space_group_name_Hall 'P 1'
loop_
_atom_site_label
_atom_site_fract_x
_atom_site_fract_y
_atom_site_fract_z
_atom_site_occupancy
Ti1 0.0000 0.0000 0.0000 1
Ti2 0.2138 0.2138 0.2138 1
Ti3 0.7129 0.7129 0.7129 1
V1 0.3546 0.3546 0.3546 1
V2 0.8567 0.8567 0.8567 1
Cr1 0.4968 0.4968 0.4968 1
P1 0.1083 0.8104 0.4013 1
P2 0.3134 0.6062 0.8941 1
P3 0.4013 0.1083 0.8104 1
P4 0.6061 0.8941 0.3134 1
P5 0.8104 0.4013 0.1083 1
P6 0.8941 0.3134 0.6061 1
O1 0.0382 0.8557 0.2440 1
O2 0.0913 0.3024 0.4468 1
O3 0.1168 0.7668 0.9147 1
O4 0.1731 0.9695 0.3597 1
O5 0.2440 0.0382 0.8557 1
O6 0.2661 0.6140 0.4147 1
O7 0.3024 0.4468 0.0913 1
O8 0.3510 0.5424 0.7383 1
O9 0.3597 0.1731 0.9695 1
O10 0.4147 0.2661 0.6140 1
O11 0.4468 0.0913 0.3024 1
O12 0.4727 0.6753 0.8500 1
O13 0.5424 0.7383 0.3510 1
O14 0.5976 0.9459 0.7967 1
O15 0.6140 0.4147 0.2661 1
O16 0.6753 0.8500 0.4727 1
O17 0.7383 0.3510 0.5424 1
O18 0.7668 0.9147 0.1168 1
O19 0.7967 0.5976 0.9459 1
O20 0.8500 0.4727 0.6753 1
O21 0.8557 0.2440 0.0382 1
O22 0.9147 0.1168 0.7668 1
O23 0.9459 0.7967 0.5976 1
O24 0.9695 0.3597 0.1731 1
```